Compound: PuGaO3
Source: the Materials Project
Functional: PBE
Structure: relaxed

Structure (POSCAR):
```
PuGaO3
1.0
3.873 0.000 0.000
0.000 3.873 0.000
0.000 0.000 3.873
Pu Ga O
1 1 3
Cartesian
0.000 0.000 0.000
1.937 1.937 1.937
0.000 1.937 1.937
1.937 0.000 1.937
1.937 1.937 0.000
```

Results
Space-group type: Pm-3m, No. 221
E_form, kJ/mol of atoms: -258
Volume, Å³/cell: 58.1
Crystal system: cubic
Total magnetic moment, μB per formula unit: 5.0

***

Compound: Rb5GaO4
Source: the Materials Project
Functional: PBE
Structure: relaxed

Structure (POSCAR):
```
Rb5GaO4
1.0
7.071 0.000 0.000
0.000 21.620 0.000
0.000 0.000 12.102
Rb Ga O
40 8 32
Cartesian
0.473 2.853 2.470
0.473 7.957 8.520
0.508 0.062 7.696
0.508 10.748 1.645
0.560 1.430 11.274
0.560 9.380 5.223
0.764 14.617 10.018
0.764 17.813 3.967
0.805 16.136 1.004
0.805 16.294 7.055
2.730 5.326 1.004
2.730 5.484 7.055
2.771 3.807 10.018
2.771 7.003 3.967
2.975 12.241 11.274
2.975 20.190 5.223
3.027 10.873 7.696
3.027 21.558 1.645
3.062 13.663 2.470
3.062 18.767 8.520
4.009 2.853 3.581
4.009 7.957 9.632
4.043 0.062 10.457
4.043 10.748 4.406
4.096 1.430 6.879
4.096 9.380 0.828
4.300 14.617 8.135
4.300 17.813 2.084
4.340 16.136 5.046
4.340 16.294 11.097
6.266 5.326 5.046
6.266 5.484 11.097
6.307 3.807 8.135
6.307 7.003 2.084
6.511 12.241 6.879
6.511 20.190 0.828
6.563 10.873 10.457
6.563 21.558 4.406
6.597 13.663 3.581
6.597 18.767 9.632
1.246 2.702 5.677
1.246 8.108 11.728
2.289 13.512 5.677
2.289 18.919 11.728
4.782 2.702 0.374
4.782 8.108 6.425
5.824 13.512 0.374
5.824 18.919 6.425
0.665 13.315 0.464
0.665 19.115 6.515
1.489 11.971 4.874
1.489 20.460 10.925
1.730 15.100 4.732
1.730 17.330 10.783
1.749 2.827 7.534
1.749 7.983 1.484
1.787 13.637 7.534
1.787 18.794 1.484
1.805 4.290 4.732
1.805 6.520 10.783
2.046 1.161 4.874
2.046 9.650 10.925
2.870 2.505 0.464
2.870 8.305 6.515
4.200 13.315 5.586
4.200 19.115 11.637
5.025 11.971 1.177
5.025 20.460 7.228
5.266 15.100 1.319
5.266 17.330 7.369
5.284 2.827 10.618
5.284 7.983 4.567
5.322 13.637 10.618
5.322 18.794 4.567
5.340 4.290 1.319
5.340 6.520 7.369
5.582 1.161 1.177
5.582 9.650 7.228
6.406 2.505 5.586
6.406 8.305 11.637
```

Results
Space-group type: Pbca, No. 61
E_form, kJ/mol of atoms: -158
Volume, Å³/cell: 1850.0
Crystal system: orthorhombic

***

Compound: Rb2YGaSi4O12
Source: the Materials Project
Functional: PBE
Structure: relaxed

Structure (POSCAR):
```
Rb2YGaSi4O12
1.0
13.634 -3.682 0.000
13.634 3.682 0.000
-8.250 0.000 12.582
Rb Y Ga Si O
8 4 4 16 48
Cartesian
-2.751 0.033 12.152
1.374 -0.033 5.861
8.170 1.941 6.902
6.723 1.941 11.972
12.295 -1.941 0.611
10.848 -1.941 5.680
17.644 0.033 6.722
21.769 -0.033 0.431
0.124 1.602 9.436
4.249 -1.602 3.144
14.769 1.602 9.438
18.894 -1.602 3.147
9.470 2.199 3.451
13.674 2.199 2.840
5.345 -2.199 9.743
9.549 -2.199 9.131
3.449 2.655 10.554
11.294 1.675 0.974
11.444 2.655 8.320
4.998 0.205 6.157
3.383 0.175 8.849
11.849 1.675 5.317
0.873 -0.205 12.448
7.508 -0.175 2.558
11.510 0.175 10.024
18.145 0.205 0.134
7.169 -1.675 7.266
15.635 -0.175 3.733
14.020 -0.205 6.425
7.574 -2.655 4.262
7.724 -1.675 11.608
15.569 -2.655 2.029
0.617 0.072 2.078
3.155 2.539 12.172
10.483 2.658 1.989
-3.508 -0.072 8.369
3.250 0.543 2.841
5.404 1.520 5.311
0.219 1.016 11.614
7.897 1.390 2.878
12.660 2.658 4.302
3.966 1.166 10.024
3.945 0.684 7.385
11.738 2.539 6.701
1.760 0.138 8.847
-0.875 -0.543 9.132
5.885 -0.138 2.556
10.363 1.258 4.768
12.780 1.258 1.523
10.492 0.270 0.710
8.070 -0.684 1.093
4.344 -1.016 5.323
6.367 -0.270 7.002
15.246 1.390 3.413
10.927 1.166 8.849
17.740 1.520 0.980
1.279 -1.520 11.603
8.091 -1.166 3.733
3.772 -1.390 9.169
12.651 0.270 5.581
14.674 1.016 7.259
10.949 0.684 11.489
8.526 -0.270 11.872
6.238 -1.258 11.059
8.655 -1.258 7.815
13.133 0.138 10.026
19.893 0.543 3.450
17.258 -0.138 3.735
7.280 -2.539 5.881
15.074 -0.684 5.198
15.052 -1.166 2.558
6.358 -2.658 8.280
11.121 -1.390 9.704
18.799 -1.016 0.968
13.615 -1.520 7.271
15.768 -0.543 9.741
22.526 0.072 4.213
8.535 -2.658 10.593
15.863 -2.539 0.410
18.401 -0.072 10.504
```

Results
Space-group type: C2/c, No. 15
E_form, kJ/mol of atoms: -303
Volume, Å³/cell: 1263.2
Crystal system: monoclinic

***

Compound: Sr2GaReO6
Source: the Materials Project
Functional: PBE
Structure: relaxed

Structure (POSCAR):
```
Sr2GaReO6
1.0
0.000 3.964 3.964
3.964 0.000 3.964
3.964 3.964 0.000
Sr Ga Re O
2 1 1 6
Cartesian
1.982 1.982 1.982
5.946 5.946 5.946
0.000 0.000 0.000
3.964 3.964 3.964
3.964 3.964 1.984
3.964 1.984 3.964
5.944 3.964 3.964
1.984 3.964 3.964
3.964 5.944 3.964
3.964 3.964 5.944
```

Results
Space-group type: Fm-3m, No. 225
E_form, kJ/mol of atoms: -250
Volume, Å³/cell: 124.6
Crystal system: cubic
Total magnetic moment, μB per formula unit: 2.0

***

Compound: Ga3S2O15
Source: the Materials Project
Functional: PBE
Structure: relaxed

Structure (POSCAR):
```
Ga3S2O15
1.0
3.626 2.094 5.612
-3.626 2.094 5.612
0.000 -4.187 5.612
Ga S O
3 2 15
Cartesian
-1.813 -1.047 5.612
-1.813 1.047 11.225
0.000 2.094 5.612
0.000 0.000 3.177
0.000 0.000 13.660
-2.407 -1.390 7.521
0.000 0.000 1.729
0.000 -1.418 6.242
-1.228 0.709 6.242
0.000 -2.780 9.316
-2.407 1.390 9.316
-1.228 -0.709 10.595
0.000 0.000 8.418
1.228 0.709 6.242
2.407 -1.390 7.521
0.000 2.780 7.521
1.228 -0.709 10.595
0.000 1.418 10.595
0.000 0.000 15.108
2.407 1.390 9.316
```

Results
Space-group type: R-3m, No. 166
E_form, kJ/mol of atoms: -112
Volume, Å³/cell: 255.7
Crystal system: trigonal
Total magnetic moment, μB per formula unit: 9.0

***

Compound: Ga2S3O12
Source: the Materials Project
Functional: PBE
Structure: relaxed

Structure (POSCAR):
```
Ga2S3O12
1.0
-3.735 -6.106 -4.484
7.771 -1.182 3.091
-8.574 -8.264 18.397
O Ga S
72 12 18
Cartesian
2.857 -4.511 9.972
-6.373 -7.891 17.204
-5.383 -11.860 11.532
1.880 -3.398 1.315
-1.587 -6.189 11.497
-5.365 -9.859 6.864
0.465 -8.219 8.836
-2.922 -9.301 8.253
-3.875 -9.726 10.487
0.844 -6.020 -1.570
1.344 -4.479 8.057
-4.026 -8.446 16.824
0.421 -7.960 11.638
-7.396 -11.040 7.032
-1.414 -11.698 12.230
-5.383 -9.532 18.573
-4.972 -7.064 12.654
-6.360 -8.418 9.916
-5.730 -9.379 12.485
0.366 -3.366 -0.600
-4.374 -13.470 12.924
-0.164 -2.082 4.080
0.433 -8.487 4.350
-5.004 -7.333 8.167
5.164 -3.822 5.781
-0.193 -2.143 1.333
1.834 -7.660 -0.200
0.827 -5.692 10.140
-2.594 -5.137 0.093
-2.951 -9.362 5.506
-1.737 -8.083 15.349
-1.945 -10.414 16.910
-4.853 -8.613 1.830
-1.641 -4.712 -2.140
-3.124 -3.853 4.774
-1.914 -10.910 9.645
-2.898 -10.840 19.144
-7.672 -10.548 11.054
-3.691 -5.856 -1.965
-0.663 -5.825 6.517
3.133 -5.003 5.949
1.064 -9.447 6.919
-6.328 -8.150 14.403
-9.702 -11.729 11.222
-2.625 -4.641 7.358
-4.905 -12.186 17.604
1.191 -6.173 4.519
-0.847 -9.695 18.969
-5.603 -6.104 10.085
0.844 -3.691 5.472
-3.982 -8.705 14.023
1.822 -7.133 7.087
-4.345 -13.408 15.671
-6.418 -12.154 15.689
-2.565 -5.076 2.840
-2.802 -7.469 1.655
-4.959 -7.591 5.366
-8.361 -13.323 14.258
3.822 -2.228 2.745
-4.388 -10.972 15.521
-1.616 -6.251 8.750
-0.512 -7.105 0.179
-0.557 -6.847 2.981
-1.974 -10.475 14.163
-0.151 -4.579 1.483
-8.707 -10.842 15.211
-5.882 -11.072 8.947
1.790 -7.402 2.601
4.168 -4.710 1.792
-2.714 -6.969 6.692
0.314 -6.938 15.174
-1.825 -8.582 10.312
-5.789 -10.140 10.676
-5.544 -5.343 11.894
-3.037 -9.543 15.526
-0.524 -7.121 10.134
-1.502 -6.008 1.477
-8.301 -12.562 16.067
-1.256 -1.211 2.696
-7.318 -7.053 15.701
1.250 -5.412 6.328
-4.014 -8.430 6.869
3.763 -2.990 0.936
-3.031 -2.921 6.502
0.719 -7.235 3.611
-2.642 -9.629 9.671
-9.080 -10.528 10.617
-2.874 -4.809 -1.324
-5.257 -8.317 13.392
-1.897 -5.923 7.333
-5.010 -12.174 16.126
-1.665 -10.742 18.328
-3.230 -3.841 3.295
-0.919 -7.036 15.990
1.536 -8.385 7.826
0.559 -7.272 -0.831
-6.075 -7.166 9.177
-5.097 -8.279 17.834
0.116 -2.410 5.498
0.472 -3.378 0.878
-5.988 -11.060 7.469
1.449 -4.491 9.535
```

Results
E_form, kJ/mol of atoms: -186
Energy relative to the lowest polymorph listed for this composition, meV per atom: 17
Volume, Å³/cell: 1353.9
Total magnetic moment, μB per formula unit: 0.0

***

Compound: Ga2S3O12
Source: the Materials Project
Functional: PBE
Structure: relaxed

Structure (POSCAR):
```
Ga2S3O12
1.0
4.096 2.365 7.401
-4.096 2.365 7.401
0.000 -4.730 7.401
Ga S O
4 6 24
Cartesian
0.000 0.000 3.194
0.000 0.000 7.758
0.000 0.000 14.446
0.000 0.000 19.011
-2.916 -0.297 9.240
-1.201 -2.674 12.964
1.715 -2.377 9.241
-1.715 2.377 12.964
1.201 2.674 9.240
2.916 0.297 12.964
-3.209 -0.968 10.524
-2.555 -2.094 12.818
-3.091 1.166 9.386
-0.250 -1.616 6.633
-1.503 -0.600 8.901
-0.766 -3.263 11.680
-1.275 1.024 6.633
0.536 -3.260 9.386
-2.443 2.295 11.680
-0.232 -1.602 13.303
-1.524 -0.592 15.571
1.272 -1.002 8.901
-1.272 1.002 13.303
1.524 0.592 6.633
0.232 1.602 8.901
2.443 -2.295 10.524
-0.536 3.260 12.818
1.275 -1.024 15.571
0.766 3.263 10.524
1.503 0.600 13.303
0.250 1.616 15.571
3.091 -1.166 12.818
2.555 2.094 9.386
3.209 0.968 11.680
```

Results
Space-group type: R-3, No. 148
E_form, kJ/mol of atoms: -188
Energy relative to the lowest polymorph listed for this composition, meV per atom: 0
Volume, Å³/cell: 430.2
Crystal system: trigonal

***

no.,corrected total energy (MP2020 scheme) (eV per atom)
1,-9.105
2,-4.415
3,-7.765
4,-7.448
5,-5.735
6,-6.508
7,-6.525